## w
Here is a geometry-optimized Gd3TaO7 structure from Materials Project. Energies are from GGA-PBE.

```
Gd3TaO7
1.0
2.1092 3.1237 5.2469
1.3994 -6.0842 2.0407
6.1159 2.4895 -3.9038
Gd O Ta
6 14 2
direct
0.2638 0.5434 0.3907
0.4548 0.0080 0.2501
0.2598 0.5356 0.8843
0.7402 0.4644 0.1157
0.7362 0.4566 0.6093
0.5452 0.9920 0.7499
0.9238 0.6820 0.9517
0.4409 0.6509 0.1657
0.0720 0.3255 0.6075
0.9164 0.9540 0.7380
0.7106 0.0690 0.0495
0.5440 0.3631 0.3418
0.5591 0.3491 0.8343
0.2888 0.9325 0.5168
0.7112 0.0675 0.4832
0.0836 0.0460 0.2620
0.0762 0.3180 0.0483
0.9280 0.6745 0.3925
0.2894 0.9310 0.9505
0.4560 0.6369 0.6582
0.0000 0.0000 0.0000
0.0000 0.0000 0.5000
```



## x
Here is a geometry-optimized Gd3TaO7 structure from Materials Project. Energies are from GGA-PBE.

```
Gd3TaO7
1.0
3.7210 -5.3871 0.0000
3.7210 5.3871 0.0000
0.0000 0.0000 7.5946
O Ta Gd
14 2 6
direct
0.5620 0.8187 0.4639
0.4380 0.1813 0.9639
0.1095 0.8460 0.7500
0.8905 0.1540 0.2500
0.5620 0.8187 0.0361
0.4380 0.1813 0.5361
0.1813 0.4380 0.9639
0.8460 0.1095 0.7500
0.1813 0.4380 0.5361
0.8187 0.5620 0.0361
0.1540 0.8905 0.2500
0.8187 0.5620 0.4639
0.4237 0.4237 0.2500
0.5763 0.5763 0.7500
0.5000 0.5000 0.5000
0.5000 0.5000 0.0000
0.0000 0.0000 0.5000
0.4812 0.9401 0.7500
0.0000 0.0000 0.0000
0.5188 0.0599 0.2500
0.0599 0.5188 0.2500
0.9401 0.4812 0.7500
```

Summary:
Magnetization ... 1.909 μB per atom



## y
Here is a geometry-optimized Gd3TaO7 structure from Materials Project. Energies are from GGA-PBE.

```
Gd3TaO7
1.0
7.5720 0.0000 0.0000
0.0000 7.6134 0.0000
0.0000 0.0000 10.7570
O Ta Gd
28 4 12
direct
0.9658 0.9513 0.6257
0.0379 0.5832 0.6145
0.2452 0.2316 0.6167
0.4658 0.5487 0.8743
0.7548 0.7684 0.1167
0.9658 0.9513 0.8743
0.0342 0.0487 0.3743
0.5342 0.4513 0.3743
0.0379 0.5832 0.8855
0.4621 0.0832 0.1145
0.7518 0.6738 0.7500
0.9621 0.4168 0.1145
0.5379 0.9168 0.6145
0.0342 0.0487 0.1257
0.5342 0.4513 0.1257
0.7452 0.2684 0.6167
0.7482 0.1738 0.2500
0.2482 0.3262 0.2500
0.4658 0.5487 0.6257
0.7548 0.7684 0.3833
0.4621 0.0832 0.3855
0.2548 0.7316 0.3833
0.2548 0.7316 0.1167
0.7452 0.2684 0.8833
0.2452 0.2316 0.8833
0.5379 0.9168 0.8855
0.9621 0.4168 0.3855
0.2518 0.8262 0.7500
0.4988 0.7513 0.7500
0.9988 0.7487 0.7500
0.0012 0.2513 0.2500
0.5012 0.2487 0.2500
0.4885 0.2914 0.7500
0.7478 0.0341 0.4798
0.5115 0.7086 0.2500
0.7522 0.5341 0.5202
0.7522 0.5341 0.9798
0.2478 0.4659 0.0202
0.2522 0.9659 0.5202
0.0115 0.7914 0.2500
0.2522 0.9659 0.9798
0.2478 0.4659 0.4798
0.7478 0.0341 0.0202
0.9885 0.2086 0.7500
```

Summary:
Magnetization ... 1.909 μB per atom



Quick one: most stable of them? w



## w
Here is a geometry-optimized Gd3YO6 structure from Materials Project. Energies are from GGA-PBE.

```
Gd3YO6
1.0
-2.9468 5.7466 2.2017
0.8452 -2.2544 6.3842
6.1662 2.9212 -0.0024
O Gd Y
12 6 2
direct
0.0927 0.6860 0.9312
0.0688 0.9073 0.3140
0.6860 0.9312 0.0927
0.4685 0.8156 0.6000
0.8156 0.6000 0.4685
0.1844 0.4000 0.5315
0.4000 0.5315 0.1844
0.5315 0.1844 0.4000
0.9312 0.0927 0.6860
0.3140 0.0688 0.9073
0.9073 0.3140 0.0688
0.6000 0.4685 0.8156
0.7481 0.9372 0.4435
0.2519 0.0628 0.5565
0.4435 0.7481 0.9372
0.9372 0.4435 0.7481
0.0628 0.5565 0.2519
0.5565 0.2519 0.0628
0.5000 0.5000 0.5000
0.0000 0.0000 0.0000
```

Summary:
Magnetization ... 2.100 μB per atom



## x
Here is a geometry-optimized Gd3YO6 structure from Materials Project. Energies are from GGA-PBE.

```
Gd3YO6
1.0
4.5596 -5.6599 0.0000
4.5596 5.6599 0.0000
0.0000 0.0000 5.7838
O Gd Y
12 6 2
direct
0.9836 0.0164 0.2521
0.0164 0.9836 0.7521
0.3557 0.3202 0.6825
0.4208 0.9017 0.6770
0.6443 0.6798 0.1825
0.9017 0.4208 0.1771
0.0983 0.5792 0.6770
0.6798 0.6443 0.6825
0.3202 0.3557 0.1825
0.7775 0.2225 0.6181
0.5792 0.0983 0.1771
0.2225 0.7775 0.1181
0.6868 0.9116 0.4646
0.6021 0.3979 0.4107
0.3132 0.0884 0.9646
0.9116 0.6868 0.9646
0.3979 0.6021 0.9107
0.0884 0.3132 0.4646
0.1635 0.8365 0.4781
0.8365 0.1635 0.9781
```

Summary:
Magnetization ... 2.100 μB per atom



Quick one: most stable of them? w



## w
Here is a geometry-optimized Gd2Zn17 structure from Materials Project. Energies are from GGA-PBE.

```
Gd2Zn17
1.0
2.3159 8.3500 -0.7511
4.4515 -0.5242 7.8987
4.3026 -1.8924 -7.7709
Zn Gd
34 4
direct
0.0000 0.5000 0.5000
0.4825 0.1620 0.3240
0.7500 0.0347 0.3643
0.4826 0.1619 0.8381
0.5175 0.8380 0.6760
0.7500 0.0350 0.6708
0.5000 0.5000 0.5000
0.5175 0.3240 0.1620
0.7500 0.3292 0.9650
0.5174 0.8381 0.1619
0.2500 0.9650 0.3292
0.5000 0.5000 0.0000
0.7500 0.6353 0.6700
0.0981 0.6667 0.3333
0.0175 0.1620 0.3240
0.9019 0.3333 0.6667
0.9825 0.8380 0.6760
0.5981 0.3333 0.6667
0.4825 0.6760 0.8380
0.2500 0.6700 0.6353
0.2500 0.9653 0.6357
0.4019 0.6667 0.3333
0.0174 0.1619 0.8381
0.9826 0.8381 0.1619
0.0000 0.5000 0.0000
0.9825 0.3240 0.1620
0.0175 0.6760 0.8380
0.2500 0.3643 0.0347
0.2500 0.6708 0.0350
0.2500 0.3647 0.3300
0.5000 0.0000 0.5000
0.7500 0.6357 0.9653
0.7500 0.3300 0.3647
0.0000 0.0000 0.5000
0.2500 0.3332 0.6668
0.7500 0.6668 0.3332
0.7500 0.9998 0.0002
0.2500 0.0002 0.9998
```

Summary:
Magnetization ... 0.006 μB per atom



## x
Here is a geometry-optimized Gd2Zn17 structure from Materials Project. Energies are from GGA-PBE.

```
Gd2Zn17
1.0
5.1238 -4.5017 0.0000
5.1238 4.5017 0.0000
1.1687 0.0000 6.7196
Zn Gd
17 2
direct
0.0000 0.7037 0.2963
0.0000 0.5000 0.0000
0.6490 0.1613 0.6490
0.9000 0.9000 0.9000
0.3510 0.3510 0.8387
0.1000 0.1000 0.1000
0.5000 0.0000 0.0000
0.2963 0.7037 0.0000
0.7037 0.0000 0.2963
0.3510 0.8387 0.3510
0.0000 0.0000 0.5000
0.6490 0.6490 0.1613
0.7037 0.2963 0.0000
0.8387 0.3510 0.3510
0.0000 0.2963 0.7037
0.2963 0.0000 0.7037
0.1613 0.6490 0.6490
0.3353 0.3353 0.3353
0.6647 0.6647 0.6647
```



Quick one: most stable of them? x



## w
Here is a geometry-optimized Ge7H4O22 structure from Materials Project. Energies are from GGA-PBE.

```
Ge7H4O22
1.0
1.6879 3.1894 7.0045
-6.9362 3.7379 -0.0244
-3.3364 -6.1560 3.6132
O Ge H
22 7 4
direct
0.6209 0.1317 0.1317
0.3771 0.1320 0.8680
0.3771 0.8680 0.1320
0.8863 0.1135 0.8863
0.1320 0.3771 0.8680
0.5031 0.9978 0.5031
0.1127 0.1127 0.1127
0.6223 0.8676 0.8676
0.8676 0.6223 0.8676
0.8863 0.8863 0.1135
0.1317 0.6209 0.1317
0.1320 0.8680 0.3771
0.8676 0.8676 0.6223
0.6759 0.3238 0.6759
0.8680 0.3771 0.1320
0.6759 0.6759 0.3238
0.1135 0.8863 0.8863
0.9978 0.5031 0.5031
0.1317 0.1317 0.6209
0.8680 0.1320 0.3771
0.3238 0.6759 0.6759
0.5031 0.5031 0.9978
0.9995 0.4996 0.9995
0.8475 0.8475 0.8475
0.1526 0.1526 0.8449
0.9995 0.9995 0.4996
0.4996 0.9995 0.9995
0.1526 0.8449 0.1526
0.8449 0.1526 0.1526
0.8125 0.1874 0.8125
0.1874 0.8125 0.8125
0.8125 0.8125 0.1874
0.1844 0.1844 0.1844
```

Summary:
Magnetization ... 0.364 μB per atom



## x
Here is a geometry-optimized Ge7H4O22 structure from Materials Project. Energies are from GGA-PBE.

```
Ge7H4O22
1.0
0.0207 7.9052 0.0207
0.0207 0.0207 7.9052
7.9052 0.0207 0.0207
O Ge H
22 7 4
direct
0.8825 0.8825 0.1086
0.8656 0.6226 0.8656
0.8627 0.1261 0.3708
0.6145 0.1271 0.1271
0.5948 0.5948 0.0234
0.5948 0.0234 0.5948
0.1271 0.1271 0.6145
0.1271 0.6145 0.1271
0.6226 0.8656 0.8656
0.8627 0.3708 0.1261
0.3708 0.8627 0.1261
0.1075 0.1075 0.1075
0.8656 0.8656 0.6226
0.6783 0.2506 0.6783
0.1261 0.3708 0.8627
0.0234 0.5948 0.5948
0.6783 0.6783 0.2506
0.3708 0.1261 0.8627
0.2506 0.6783 0.6783
0.1261 0.8627 0.3708
0.8825 0.1086 0.8825
0.1086 0.8825 0.8825
0.1460 0.8385 0.1460
0.1460 0.1460 0.8385
0.9965 0.4930 0.9965
0.4930 0.9965 0.9965
0.8539 0.8539 0.8539
0.9965 0.9965 0.4930
0.8385 0.1460 0.1460
0.7991 0.7991 0.1769
0.1787 0.1787 0.1787
0.1769 0.7991 0.7991
0.7991 0.1769 0.7991
```

Summary:
Magnetization ... 0.182 μB per atom



Quick one: most stable of them? x